[1]
LiNiPO4, optimized geometry, DFT GGA+U; calculated total energy = -6.2480 eV/atom; polymorph energy (0 for the lowest one) = 0.0609 eV per atom
1.0
4.1889 -7.2553 0.0000
4.1889 7.2553 0.0000
0.0000 0.0000 7.4837
O Ni Li P
24 6 6 6
direct
0.4326 0.1733 0.3467
0.1471 0.7221 0.1816
0.7804 0.8517 0.5015
0.1118 0.5334 0.4974
0.5750 0.8529 0.1816
0.4250 0.1471 0.6816
0.8517 0.0713 0.0015
0.7221 0.5750 0.6816
0.2779 0.4250 0.1816
0.5784 0.1118 0.9974
0.7407 0.5674 0.3467
0.8882 0.4666 0.9974
0.2196 0.1483 0.0015
0.2593 0.4326 0.8467
0.5334 0.4216 0.9974
0.1733 0.7407 0.8467
0.4666 0.5784 0.4974
0.8267 0.2593 0.3467
0.0713 0.2196 0.5015
0.9287 0.7804 0.0015
0.1483 0.9287 0.5015
0.4216 0.8882 0.4974
0.8529 0.2779 0.6816
0.5674 0.8267 0.8467
0.6667 0.3333 0.1983
0.0000 0.0000 0.6330
0.3333 0.6667 0.3012
0.0000 0.0000 0.1330
0.6667 0.3333 0.8012
0.3333 0.6667 0.6983
0.9859 0.3176 0.9019
0.0141 0.6824 0.4019
0.3318 0.0141 0.9019
0.3176 0.3318 0.4019
0.6682 0.9859 0.4019
0.6824 0.6682 0.9019
0.3253 0.3635 0.0052
0.3635 0.0383 0.5052
0.6365 0.9617 0.0052
0.6747 0.6365 0.5052
0.0383 0.6747 0.0052
0.9617 0.3253 0.5052

[2]
Li2NiP2O7, optimized geometry, DFT GGA+U; calculated total energy = -6.4323 eV/atom; polymorph energy (0 for the lowest one) = 0.0517 eV per atom
1.0
2.9358 6.5221 -0.2065
-7.2773 6.8090 -0.6687
-0.6976 -3.4544 8.0347
P Li O Ni
8 8 28 4
direct
0.5563 0.7948 0.6035
0.6523 0.1854 0.1430
0.8477 0.3146 0.8570
0.0562 0.2947 0.6035
0.3478 0.8146 0.8571
0.9437 0.7052 0.3965
0.1523 0.6853 0.1430
0.4437 0.2053 0.3965
0.7064 0.6127 0.0082
0.4781 0.1623 0.7551
0.0220 0.3378 0.2449
0.2935 0.3872 0.9918
0.7937 0.8873 0.9918
0.2066 0.1127 0.0082
0.5222 0.8378 0.2449
0.9779 0.6622 0.7551
0.3910 0.8011 0.6852
0.0428 0.3442 0.0122
0.1564 0.1358 0.5574
0.1091 0.6989 0.3149
0.1491 0.9377 0.8390
0.9325 0.3732 0.4525
0.1811 0.8321 0.1464
0.9571 0.6558 0.9878
0.8436 0.8642 0.4426
0.3435 0.3643 0.4425
0.7305 0.8692 0.7430
0.3509 0.5623 0.1610
0.5674 0.1270 0.5475
0.8510 0.0622 0.1611
0.4330 0.8732 0.4526
0.4572 0.1559 0.9878
0.6090 0.1989 0.3147
0.7695 0.6308 0.2570
0.2304 0.3692 0.7429
0.6564 0.6358 0.5574
0.8910 0.3010 0.6852
0.5429 0.8442 0.0122
0.2695 0.1308 0.2571
0.8189 0.1679 0.8536
0.0671 0.6267 0.5474
0.3189 0.6679 0.8536
0.6490 0.4377 0.8389
0.6813 0.3321 0.1465
0.8476 0.9945 0.6671
0.6523 0.5055 0.3328
0.1522 0.0054 0.3329
0.3475 0.4946 0.6671

[3]
LiNiPO4, optimized geometry, DFT GGA+U; calculated total energy = -6.2739 eV/atom; polymorph energy (0 for the lowest one) = 0.0351 eV per atom
1.0
0.0000 -0.0002 4.9248
9.9552 -0.0004 0.0000
-0.0002 6.9953 -0.0004
O Ni P Li
16 4 4 4
direct
0.0625 0.6266 0.7537
0.6994 0.4426 0.7355
0.5622 0.8734 0.2535
0.6278 0.6496 0.9396
0.6993 0.9426 0.7645
0.0622 0.1266 0.7464
0.6275 0.1496 0.5604
0.1302 0.8329 0.0708
0.6304 0.6671 0.5709
0.1276 0.3504 0.0604
0.1275 0.8504 0.4395
0.1302 0.3329 0.4291
0.1994 0.5574 0.2646
0.5623 0.3734 0.2464
0.6302 0.1671 0.9291
0.1993 0.0575 0.2355
0.7317 0.8550 0.5078
0.2321 0.6450 0.0080
0.7318 0.3549 0.9922
0.2316 0.1451 0.4922
0.7521 0.0964 0.7518
0.2521 0.9036 0.2481
0.2522 0.4036 0.2518
0.7524 0.5964 0.7482
0.2424 0.6595 0.5053
0.7424 0.3405 0.4948
0.2424 0.1595 0.9947
0.7424 0.8405 0.0052

[4]
LiNiPO4, optimized geometry, DFT GGA+U; calculated total energy = -6.2635 eV/atom; polymorph energy (0 for the lowest one) = 0.0454 eV per atom
1.0
-0.5063 -5.4667 2.6404
5.7572 2.6911 3.7661
-3.7442 2.1192 6.1690
Li O P Ni
4 16 4 4
direct
0.2766 0.0142 0.0126
0.7234 0.9858 0.9874
0.2234 0.9857 0.4873
0.7766 0.0143 0.5127
0.1305 0.2155 0.9277
0.4904 0.9168 0.8425
0.6051 0.6158 0.7714
0.9904 0.9167 0.3425
0.8951 0.3844 0.7285
0.8695 0.7845 0.0722
0.5096 0.0832 0.1575
0.1049 0.6156 0.2716
0.3028 0.3831 0.6076
0.0096 0.0833 0.6575
0.3949 0.3842 0.2287
0.6973 0.6169 0.3924
0.3693 0.7844 0.5724
0.6307 0.2156 0.4276
0.1977 0.6170 0.8928
0.8023 0.3830 0.1073
0.4157 0.7361 0.7699
0.9155 0.7360 0.2698
0.5843 0.2639 0.2301
0.0845 0.2640 0.7301
0.3641 0.5931 0.3956
0.1356 0.4068 0.1044
0.8644 0.5933 0.8956
0.6358 0.4068 0.6044

[5]
LiNi2P2O8, optimized geometry, DFT GGA+U; calculated total energy = -6.2705 eV/atom; polymorph energy (0 for the lowest one) = 0.0000 eV per atom
1.0
-9.0922 -0.7724 4.3587
-1.9295 -1.1043 -4.2245
0.9124 -5.6813 0.8984
P O Li Ni
4 16 2 4
direct
0.3511 0.0798 0.9986
0.6614 0.5795 0.4977
0.1614 0.9204 0.5023
0.8511 0.4204 0.0014
0.4278 0.2210 0.7932
0.7057 0.3237 0.9981
0.5838 0.7211 0.2933
0.5912 0.7316 0.7066
0.4207 0.2321 0.2075
0.6502 0.2609 0.5114
0.8625 0.7391 0.9874
0.0837 0.7788 0.7068
0.8062 0.6791 0.5008
0.3625 0.7609 0.0125
0.3062 0.8209 0.4991
0.1502 0.2390 0.4885
0.0912 0.7682 0.2935
0.9207 0.2679 0.7924
0.9278 0.2792 0.2068
0.2057 0.1762 0.0018
0.2587 0.4997 0.2570
0.7586 0.0002 0.7428
0.9832 0.4781 0.5007
0.5291 0.5238 0.9988
0.0290 0.9764 0.0014
0.4832 0.0220 0.4993

[6]
Li2NiP2O7, optimized geometry, DFT GGA+U; calculated total energy = -6.4783 eV/atom; polymorph energy (0 for the lowest one) = 0.0057 eV per atom
1.0
9.7394 0.0000 0.0000
0.0000 9.7436 0.0000
0.0000 2.3653 10.8412
O P Ni Li
56 16 8 16
direct
0.5682 0.5647 0.8922
0.9213 0.8859 0.2936
0.3400 0.4710 0.5556
0.3991 0.9031 0.7750
0.8589 0.3804 0.8560
0.6768 0.6658 0.6878
0.9115 0.9102 0.7311
0.5632 0.2771 0.5211
0.8400 0.0290 0.4444
0.1679 0.8163 0.8432
0.5787 0.3859 0.2936
0.1768 0.8342 0.3122
0.1355 0.2744 0.9997
0.8645 0.7256 0.0003
0.1411 0.6196 0.1440
0.4318 0.4353 0.1078
0.9633 0.6245 0.7883
0.4633 0.8755 0.2117
0.3232 0.3342 0.3122
0.7757 0.4788 0.0755
0.2912 0.1889 0.5834
0.0632 0.2229 0.4789
0.6679 0.6837 0.1568
0.8321 0.1837 0.1568
0.2243 0.5212 0.9245
0.0885 0.0898 0.2689
0.2088 0.6889 0.5834
0.5864 0.9779 0.6269
0.7243 0.9788 0.0755
0.3321 0.3163 0.8432
0.1009 0.4031 0.7750
0.6411 0.8804 0.8560
0.6600 0.5290 0.4444
0.4213 0.6141 0.7064
0.7088 0.8111 0.4166
0.9318 0.0647 0.8922
0.3589 0.1196 0.1440
0.5885 0.4102 0.7311
0.4368 0.7229 0.4789
0.9368 0.7771 0.5211
0.7912 0.3111 0.4166
0.3645 0.7744 0.9997
0.2757 0.0212 0.9245
0.4115 0.5898 0.2689
0.6009 0.0969 0.2250
0.0682 0.9353 0.1078
0.0367 0.3755 0.2117
0.0787 0.1141 0.7064
0.5367 0.1245 0.7883
0.8232 0.1658 0.6878
0.0864 0.5221 0.3731
0.6355 0.2256 0.0003
0.1600 0.9710 0.5556
0.8991 0.5969 0.2250
0.9136 0.4779 0.6269
0.4136 0.0221 0.3731
0.7940 0.6201 0.1085
0.2060 0.3799 0.8915
0.9292 0.0591 0.7577
0.7060 0.1201 0.1085
0.2940 0.8799 0.8915
0.4292 0.4409 0.2423
0.5491 0.9740 0.7602
0.0708 0.9409 0.2423
0.3492 0.6218 0.5738
0.8492 0.8782 0.4262
0.1508 0.1218 0.5738
0.0491 0.5260 0.2398
0.5708 0.5591 0.7577
0.6508 0.3782 0.4262
0.4509 0.0260 0.2398
0.9509 0.4740 0.7602
0.7103 0.2459 0.8223
0.2897 0.7541 0.1777
0.0725 0.8000 0.6737
0.4275 0.3000 0.6737
0.9275 0.2000 0.3263
0.5725 0.7000 0.3263
0.2103 0.2541 0.1777
0.7897 0.7459 0.8223
0.2793 0.8866 0.4482
0.8932 0.9127 0.0280
0.0763 0.6694 0.4570
0.7207 0.1134 0.5518
0.7793 0.6134 0.5518
0.5763 0.8306 0.5430
0.9237 0.3306 0.5430
0.5880 0.8436 0.0438
0.4237 0.1694 0.4570
0.3932 0.5873 0.9720
0.6068 0.4127 0.0280
0.9120 0.3436 0.0438
0.2207 0.3866 0.4482
0.1068 0.0873 0.9720
0.4120 0.1564 0.9562
0.0880 0.6564 0.9562

[7]
Li2NiP2O7, optimized geometry, DFT GGA+U; calculated total energy = -6.4514 eV/atom; polymorph energy (0 for the lowest one) = 0.0326 eV per atom
1.0
-4.7488 6.0778 0.2957
-5.5831 -6.2479 -0.1767
-0.2927 -3.0424 8.1057
O Li Ni P
28 8 4 8
direct
0.4315 0.6365 0.1793
0.8239 0.2841 0.6605
0.5253 0.6872 0.5170
0.8495 0.5601 0.7607
0.5684 0.3635 0.8211
0.3603 0.0577 0.3602
0.3240 0.7841 0.6605
0.5998 0.6658 0.8305
0.6760 0.2159 0.3394
0.4747 0.3128 0.4830
0.6505 0.9399 0.2393
0.1505 0.4399 0.2394
0.3496 0.0602 0.7608
0.0253 0.1873 0.5169
0.4003 0.3342 0.1695
0.1397 0.4423 0.6397
0.9747 0.8129 0.4830
0.1760 0.7159 0.3395
0.6397 0.9422 0.6397
0.0684 0.8636 0.8201
0.7234 0.0169 0.9480
0.7768 0.4834 0.0520
0.8603 0.5578 0.3604
0.9317 0.1365 0.1791
0.0998 0.1658 0.8304
0.2232 0.5166 0.9481
0.9002 0.8342 0.1695
0.2762 0.9827 0.0519
0.2078 0.9986 0.5408
0.1763 0.1192 0.1570
0.2921 0.5013 0.4592
0.7079 0.4988 0.5407
0.8238 0.8808 0.8429
0.3238 0.3808 0.8430
0.6763 0.6193 0.1570
0.7922 0.0013 0.4592
0.4022 0.8389 0.2668
0.0978 0.6610 0.7337
0.5978 0.1611 0.7336
0.9024 0.3388 0.2666
0.7896 0.9961 0.1302
0.0140 0.2750 0.6490
0.2103 0.0039 0.8697
0.7106 0.5040 0.8699
0.2895 0.4961 0.1302
0.9860 0.7250 0.3510
0.4860 0.2250 0.3510
0.5140 0.7750 0.6490

[8]
LiNiPO4, optimized geometry, DFT GGA+U; calculated total energy = -6.3082 eV/atom; polymorph energy (0 for the lowest one) = 0.0007 eV per atom
1.0
-3.0719 0.3119 -3.5854
-2.2876 -5.2623 1.5021
-6.6533 4.6333 6.1037
O Li P Ni
16 4 4 4
direct
0.2752 0.2054 0.9151
0.2409 0.5019 0.1500
0.2590 0.4981 0.6502
0.7752 0.2945 0.0849
0.7409 0.9981 0.8499
0.2008 0.0028 0.2011
0.2993 0.9973 0.7011
0.7993 0.5027 0.2989
0.7009 0.4972 0.7989
0.7749 0.7090 0.0844
0.7247 0.7055 0.5849
0.2749 0.7909 0.9156
0.2251 0.2091 0.4156
0.7590 0.0019 0.3499
0.7251 0.2909 0.5844
0.2248 0.7946 0.4152
0.5017 0.2528 0.2520
0.9983 0.7472 0.7521
0.0017 0.2471 0.7480
0.4982 0.7527 0.2479
0.4166 0.9978 0.8442
0.5835 0.4978 0.6558
0.0835 0.0023 0.3442
0.9166 0.5022 0.1558
0.0191 0.5020 0.4742
0.9807 0.0018 0.0258
0.4809 0.4982 0.9741
0.5192 0.9982 0.5258